The following is a PBE calculation of a geometry-optimized NaTaZnP2SO12 structure, from the Materials Project.

Cell lengths 8.7363, 8.7363, 22.6677 Å; angles 89.75, 90.25, 119.80 degrees
Last column: nearest neighbours and their distance in Å.
Fractional coordinates of all 108 atoms:
P1 0.0457 0.6704 0.4193  4 O 1.49-1.61
P2 0.0419 0.3735 0.9186  4 O 1.49-1.60
P3 0.2931 0.2915 0.7519  4 O 1.49-1.60
P4 0.7123 0.0037 0.7526  4 O 1.49-1.61
P5 0.7085 0.7069 0.2519  4 O 1.49-1.60
P6 0.6630 0.6210 0.5859  4 O 1.49-1.61
P7 0.9963 0.2877 0.2526  4 O 1.49-1.61
P8 0.3752 0.0402 0.5853  4 O 1.49-1.60
P9 0.9598 0.6248 0.0853  4 O 1.49-1.60
P10 0.3790 0.3370 0.0859  4 O 1.49-1.61
P11 0.6265 0.9581 0.4186  4 O 1.49-1.60
P12 0.3296 0.9543 0.9193  4 O 1.49-1.61
O1 0.8576 0.3693 0.9243  1 P 1.60
O2 0.1756 0.9716 0.1970  1 S 1.52
O3 0.0276 0.1976 0.1956  1 P 1.61
O4 0.4842 0.1195 0.6393  1 P 1.49
O5 0.4691 0.3057 0.0290  1 P 1.61
O6 0.2138 0.1825 0.8060  1 P 1.49
O7 0.2969 0.8298 0.2551  1 S 1.54
O8 0.1479 0.6828 0.4737  1 P 1.49
O9 0.1874 0.1986 0.4090  1 S 1.45
O10 0.3544 0.4947 0.0767  1 P 1.51
O11 0.5057 0.1429 0.9245  1 P 1.61
O12 0.0036 0.1861 0.9114  1 P 1.51
O13 0.5089 0.6383 0.8636  1 S 1.52
O14 0.9636 0.1631 0.5885  1 S 1.54
O15 0.8423 0.3049 0.5303  1 S 1.52
O16 0.9764 0.7895 0.8039  1 S 1.44
O17 0.6703 0.5195 0.2447  1 P 1.51
O18 0.1702 0.7031 0.7551  1 S 1.54
O19 0.5046 0.8645 0.3622  1 P 1.60
O20 0.4688 0.1621 0.5288  1 P 1.60
O21 0.3097 0.4561 0.4706  1 S 1.44
O22 0.8390 0.8096 0.5912  1 P 1.61
O23 0.1909 0.0360 0.5910  1 P 1.60
O24 0.8772 0.3570 0.6373  1 S 1.44
O25 0.1355 0.4954 0.8622  1 P 1.60
O26 0.6303 0.4964 0.9218  1 S 1.54
O27 0.6943 0.5309 0.5290  1 P 1.61
O28 0.8571 0.4943 0.4245  1 P 1.61
O29 0.8014 0.8126 0.9090  1 S 1.45
O30 0.1358 0.6390 0.3623  1 P 1.61
O31 0.5242 0.7027 0.2577  1 P 1.60
O32 0.4805 0.3297 0.7447  1 P 1.51
O33 0.1720 0.9789 0.9101  1 P 1.51
O34 0.4681 0.1459 0.2423  1 S 1.45
O35 0.3610 0.8642 0.8623  1 P 1.61
O36 0.8379 0.5312 0.0288  1 P 1.60
O37 0.2973 0.4758 0.7577  1 P 1.60
O38 0.8146 0.0161 0.8071  1 P 1.49
O39 0.5237 0.8276 0.7578  1 P 1.61
O40 0.5036 0.3697 0.4218  1 S 1.54
O41 0.9839 0.1854 0.3071  1 P 1.49
O42 0.1347 0.4792 0.5757  1 S 1.45
O43 0.8805 0.5158 0.1393  1 P 1.49
O44 0.8369 0.0364 0.0885  1 S 1.54
O45 0.6505 0.5187 0.6404  1 P 1.49
O46 0.2105 0.0236 0.3039  1 S 1.44
O47 0.8021 0.8288 0.1955  1 P 1.60
O48 0.4813 0.3495 0.1404  1 P 1.49
O49 0.8024 0.9724 0.6956  1 P 1.61
O50 0.3370 0.8528 0.5780  1 P 1.51
O51 0.3172 0.8521 0.9737  1 P 1.49
O52 0.8541 0.5319 0.7423  1 S 1.45
O53 0.5472 0.8491 0.4726  1 P 1.49
O54 0.6307 0.1424 0.4243  1 P 1.60
O55 0.6951 0.1577 0.0303  1 S 1.52
O56 0.3617 0.4911 0.3636  1 S 1.52
O57 0.1904 0.1610 0.0912  1 P 1.61
O58 0.1509 0.4528 0.9726  1 P 1.49
O59 0.6877 0.1613 0.7434  1 P 1.51
O60 0.0211 0.8280 0.4101  1 P 1.51
O61 0.1712 0.1979 0.6955  1 P 1.60
O62 0.0284 0.8244 0.6970  1 S 1.52
O63 0.1724 0.4763 0.2579  1 P 1.61
O64 0.1472 0.6630 0.0780  1 P 1.51
O65 0.9640 0.8091 0.0910  1 P 1.60
O66 0.5053 0.6456 0.5767  1 P 1.51
O67 0.5208 0.8653 0.0757  1 S 1.45
O68 0.8139 0.9964 0.4114  1 P 1.51
O69 0.8387 0.3123 0.2434  1 P 1.51
O70 0.5439 0.6903 0.9706  1 S 1.44
O71 0.8175 0.7862 0.3060  1 P 1.49
O72 0.6430 0.1228 0.1373  1 S 1.44
Zn1 0.6779 0.3537 0.1850  4 O 1.93-2.08
Zn2 0.3129 0.6554 0.0184  4 O 1.93-2.08
Zn3 0.9796 0.9887 0.3517  4 O 1.93-2.08
Zn4 0.0113 0.0204 0.8517  4 O 1.93-2.08
Zn5 0.6463 0.3221 0.6850  4 O 1.93-2.08
Zn6 0.3446 0.6871 0.5184  4 O 1.93-2.08
Ta1 0.6651 0.3353 0.9792  6 O 1.96-2.05
Ta2 0.9984 0.0020 0.6459  6 O 1.96-2.05
Ta3 0.3314 0.6683 0.8125  6 O 1.96-2.05
Ta4 0.6647 0.3349 0.4792  6 O 1.96-2.05
Ta5 0.3317 0.6686 0.3125  6 O 1.96-2.05
Ta6 0.9980 0.0016 0.1459  6 O 1.96-2.05
Na1 0.9912 0.9853 0.4904  3 O 2.38-2.58
Na2 0.3481 0.6755 0.6571  3 O 2.38-2.58
Na3 0.6578 0.3186 0.8238  3 O 2.38-2.58
Na4 0.3245 0.6519 0.1571  3 O 2.38-2.58
Na5 0.6814 0.3422 0.3238  3 O 2.38-2.58
Na6 0.0147 0.0088 0.9904  3 O 2.38-2.58
S1 0.9977 0.7095 0.7513  4 O 1.44-1.54
S2 0.2905 0.0023 0.2513  4 O 1.44-1.54
S3 0.9571 0.3356 0.5847  4 O 1.44-1.54
S4 0.3311 0.3762 0.4180  4 O 1.44-1.54
S5 0.6644 0.0429 0.0847  4 O 1.44-1.54
S6 0.6238 0.6689 0.9180  4 O 1.44-1.54

**Magnetic moment**: 0.0 μB per cell
**Energy of formation from the pure elements**: -45.4 eV/f.u.



The following is a PBE calculation of a geometry-optimized Na21Ta2Zn10P15S3O72 structure, from the Materials Project.

Cell lengths 9.0389, 9.0607, 21.9223 Å; angles 89.65, 89.76, 120.05 degrees
Last column: nearest neighbours and their distance in Å.
Fractional coordinates of all 123 atoms:
O1 0.5010 0.3657 0.4174  1 P 1.55
O2 0.9771 0.7807 0.8107  1 P 1.54
O3 0.5044 0.8536 0.3638  1 P 1.60
O4 0.8553 0.3073 0.5258  1 P 1.55
O5 0.1865 0.1701 0.0879  1 P 1.57
O6 0.8068 0.7855 0.3076  1 P 1.52
O7 0.5175 0.8346 0.7591  1 P 1.61
O8 0.0444 0.2322 0.1931  1 P 1.56
O9 0.6948 0.1401 0.0244  1 S 1.50
O10 0.1424 0.6477 0.3636  1 P 1.60
O11 0.6750 0.1525 0.7469  1 P 1.55
O12 0.8757 0.5165 0.1347  1 S 1.47
O13 0.8063 0.9780 0.4108  1 P 1.54
O14 0.4765 0.1179 0.6417  1 P 1.55
O15 0.5547 0.7001 0.9766  1 P 1.53
O16 0.4489 0.1488 0.5261  1 P 1.55
O17 0.8634 0.5519 0.0243  1 S 1.50
O18 0.3058 0.4531 0.4756  1 P 1.53
O19 0.0184 0.1925 0.9113  1 P 1.54
O20 0.3509 0.8581 0.8624  1 P 1.60
O21 0.9766 0.7996 0.0864  1 S 1.50
O22 0.6448 0.1256 0.1349  1 S 1.47
O23 0.8498 0.5176 0.7466  1 P 1.53
O24 0.1733 0.9781 0.9121  1 P 1.54
O25 0.4776 0.3189 0.7445  1 P 1.53
O26 0.5495 0.8514 0.4767  1 P 1.53
O27 0.5129 0.6475 0.5796  1 S 1.49
O28 0.2191 0.1904 0.8097  1 P 1.54
O29 0.1375 0.6502 0.0789  1 S 1.50
O30 0.8452 0.3265 0.2439  1 P 1.52
O31 0.8231 0.8012 0.5878  1 S 1.49
O32 0.3143 0.4813 0.7604  1 P 1.61
O33 0.3523 0.4920 0.3614  1 P 1.60
O34 0.5163 0.6845 0.2574  1 P 1.63
O35 0.1741 0.1947 0.4116  1 P 1.54
O36 0.1427 0.6992 0.4762  1 P 1.53
O37 0.1916 0.9616 0.1911  1 P 1.55
O38 0.6384 0.5035 0.9173  1 P 1.54
O39 0.3163 0.8350 0.2590  1 P 1.60
O40 0.3052 0.8494 0.9761  1 P 1.53
O41 0.6666 0.5187 0.2467  1 P 1.54
O42 0.8617 0.3624 0.9184  1 P 1.55
O43 0.6347 0.1319 0.4165  1 P 1.55
O44 0.9788 0.1682 0.5879  1 P 1.56
O45 0.9776 0.1952 0.3086  1 P 1.52
O46 0.8837 0.3630 0.6413  1 P 1.55
O47 0.1847 0.2307 0.6952  1 P 1.53
O48 0.4475 0.3038 0.0238  1 P 1.56
O49 0.3505 0.4962 0.0796  1 P 1.57
O50 0.0407 0.8166 0.6951  1 P 1.53
O51 0.4760 0.1581 0.2450  1 P 1.54
O52 0.8090 0.8289 0.9104  1 P 1.54
O53 0.1373 0.4912 0.8621  1 P 1.60
O54 0.8628 0.5014 0.4177  1 P 1.55
O55 0.1854 0.0141 0.5883  1 P 1.56
O56 0.4996 0.1329 0.9170  1 P 1.55
O57 0.1701 0.4826 0.2585  1 P 1.63
O58 0.4825 0.3603 0.1389  1 P 1.54
O59 0.7776 0.8101 0.1911  1 P 1.55
O60 0.5093 0.8662 0.0792  1 S 1.50
O61 0.3539 0.8572 0.5801  1 P 1.56
O62 0.1694 0.6861 0.7590  1 P 1.65
O63 0.7787 0.9658 0.6932  1 P 1.52
O64 0.2132 0.0270 0.3064  1 P 1.53
O65 0.0191 0.8275 0.4098  1 P 1.54
O66 0.1440 0.4484 0.9757  1 P 1.53
O67 0.5052 0.6492 0.8642  1 P 1.60
O68 0.6926 0.5527 0.5261  1 S 1.49
O69 0.1474 0.4932 0.5799  1 P 1.56
O70 0.8119 0.0270 0.8086  1 P 1.54
O71 0.6415 0.5197 0.6370  1 S 1.48
O72 0.8204 0.0174 0.0869  1 S 1.50
S1 0.6678 0.6286 0.5829  4 O 1.48-1.49
S2 0.9612 0.6279 0.0818  4 O 1.47-1.50
S3 0.6673 0.0392 0.0823  4 O 1.47-1.50
Na1 0.6672 0.9736 0.5823  6 O 2.47-2.65
Na2 0.7070 0.6686 0.4141  6 O 2.43-2.64
Na3 0.0049 0.0057 0.4986  6 O 2.49-2.61
Na4 0.3307 0.0397 0.4173  6 O 2.44-2.64
Na5 0.3363 0.6665 0.6584  3 O 2.37-2.41
Na6 0.0399 0.7009 0.5834  6 O 2.46-2.67
Na7 0.3328 0.6698 0.1662  6 O 2.53-2.58
Na8 0.7080 0.0382 0.9151  6 O 2.43-2.60
Na9 0.6657 0.3428 0.8288  6 O 2.41-2.60
Na10 0.9624 0.6695 0.9146  6 O 2.45-2.59
Na11 0.3301 0.2908 0.9176  6 O 2.46-2.57
Na12 0.3648 0.3536 0.2471  5 O 2.36-2.61
Na13 0.6623 0.6947 0.0889  6 O 2.48-2.66
Na14 0.0401 0.3315 0.0873  6 O 2.42-2.63
Na15 0.2941 0.3276 0.5808  6 O 2.45-2.67
Na16 0.6765 0.3331 0.3294  6 O 2.43-2.60
Na17 0.9613 0.2923 0.4166  6 O 2.46-2.60
Na18 0.2988 0.9738 0.0863  6 O 2.45-2.68
Na19 0.0063 0.0054 0.9995  6 O 2.50-2.60
Na20 0.3664 0.0128 0.7421  5 O 2.40-2.61
Na21 0.9853 0.3528 0.7418  4 O 2.36-2.63
P1 0.9963 0.7015 0.7515  4 O 1.53-1.65
P2 0.6310 0.6700 0.9187  4 O 1.53-1.60
P3 0.9971 0.2987 0.2510  4 O 1.52-1.63
P4 0.7046 0.7041 0.2504  4 O 1.52-1.63
P5 0.2971 0.9996 0.2502  4 O 1.53-1.60
P6 0.3687 0.3324 0.0831  4 O 1.54-1.57
P7 0.6279 0.9579 0.4186  4 O 1.53-1.60
P8 0.9643 0.3328 0.5835  4 O 1.55-1.56
P9 0.3681 0.0360 0.5840  4 O 1.55-1.56
P10 0.0372 0.6688 0.4183  4 O 1.53-1.60
P11 0.3323 0.9585 0.9190  4 O 1.53-1.60
P12 0.3332 0.3725 0.4185  4 O 1.53-1.60
P13 0.0362 0.3696 0.9188  4 O 1.53-1.60
P14 0.2997 0.2981 0.7513  4 O 1.53-1.61
P15 0.7057 0.9992 0.7506  4 O 1.52-1.61
Zn1 0.6671 0.3317 0.6808  6 O 2.02-2.21
Zn2 0.0065 0.0071 0.6546  6 O 2.06-2.31
Zn3 0.6650 0.3234 0.4840  6 O 2.01-2.25
Zn4 0.6585 0.3312 0.9830  6 O 2.00-2.22
Zn5 0.3337 0.6584 0.0120  4 O 1.99-2.14
Zn6 0.9994 0.9968 0.8444  6 O 2.01-2.25
Zn7 0.0063 0.0065 0.1642  3 O 2.00-2.02
Zn8 0.9962 0.9987 0.3443  5 O 2.01-2.19
Zn9 0.3261 0.6666 0.5129  5 O 1.99-2.20
Zn10 0.6664 0.3362 0.1881  6 O 2.07-2.17
Ta1 0.3333 0.6698 0.3134  6 O 1.96-2.01
Ta2 0.3358 0.6664 0.8138  6 O 1.96-2.00

**Magnetic moment**: 0.0 μB per cell
**Energy of formation from the pure elements**: -303.7 eV/f.u.